LiFeSiO4 | the Materials Project database | PBE with a Hubbard U | relaxed; relative energy among the computed polymorphs = 61 meV per atom; electronic total energy = -287.5 eV per cell
1.0
4.356 -7.545 0.000
4.356 7.545 0.000
0.000 0.000 8.099
Si Fe O Li
6 6 24 6
Direct
0.960 0.315 0.518 Si
0.645 0.960 0.018 Si
0.355 0.040 0.518 Si
0.040 0.685 0.018 Si
0.315 0.355 0.018 Si
0.685 0.645 0.518 Si
0.029 0.688 0.403 Fe
0.688 0.659 0.903 Fe
0.971 0.312 0.903 Fe
0.341 0.029 0.903 Fe
0.312 0.341 0.403 Fe
0.659 0.971 0.403 Fe
0.563 0.093 0.997 O
0.529 0.437 0.997 O
0.910 0.773 0.016 O
0.779 0.584 0.374 O
0.195 0.779 0.874 O
0.585 0.854 0.196 O
0.269 0.415 0.196 O
0.863 0.090 0.016 O
0.146 0.731 0.196 O
0.090 0.227 0.516 O
0.907 0.471 0.997 O
0.805 0.221 0.374 O
0.773 0.863 0.516 O
0.731 0.585 0.696 O
0.137 0.910 0.516 O
0.437 0.907 0.497 O
0.227 0.137 0.016 O
0.415 0.146 0.696 O
0.854 0.269 0.696 O
0.221 0.416 0.874 O
0.584 0.805 0.874 O
0.471 0.563 0.497 O
0.416 0.195 0.374 O
0.093 0.529 0.497 O
0.667 0.333 0.215 Li
0.333 0.667 0.264 Li
0.333 0.667 0.715 Li
0.000 0.000 0.113 Li
0.000 0.000 0.613 Li
0.667 0.333 0.764 Li



LiFeSiO4 | the Materials Project database | PBE with a Hubbard U | relaxed; relative energy among the computed polymorphs = 39 meV per atom; electronic total energy = -192.3 eV per cell
1.0
-1.948 -0.578 4.472
-4.535 -3.639 -2.446
5.215 -7.384 1.317
O Si Fe Li
16 4 4 4
Direct
0.198 0.250 0.127 O
0.093 0.750 0.142 O
0.698 0.750 0.373 O
0.327 0.536 0.884 O
0.173 0.964 0.384 O
0.907 0.250 0.858 O
0.173 0.536 0.384 O
0.673 0.464 0.116 O
0.802 0.750 0.873 O
0.407 0.750 0.642 O
0.593 0.250 0.358 O
0.302 0.250 0.627 O
0.827 0.464 0.616 O
0.673 0.036 0.116 O
0.827 0.036 0.616 O
0.327 0.964 0.884 O
0.475 0.750 0.823 Si
0.525 0.250 0.177 Si
0.975 0.250 0.677 Si
0.025 0.750 0.323 Si
0.500 0.500 0.500 Fe
0.500 0.000 0.500 Fe
0.000 0.000 0.000 Fe
0.000 0.500 0.000 Fe
0.023 0.250 0.333 Li
0.477 0.250 0.833 Li
0.523 0.750 0.167 Li
0.977 0.750 0.667 Li



LiFeSi2O6 | the Materials Project database | PBE with a Hubbard U | relaxed; relative energy among the computed polymorphs = 1 meV per atom; electronic total energy = -576.7 eV per cell
1.0
5.310 0.000 0.000
0.000 8.839 0.000
0.000 0.000 18.244
O Fe Si Li
48 8 16 8
Direct
0.449 0.507 0.191 O
0.066 0.784 0.948 O
0.449 0.007 0.309 O
0.943 0.668 0.184 O
0.566 0.216 0.552 O
0.557 0.668 0.684 O
0.712 0.833 0.566 O
0.715 0.498 0.563 O
0.824 0.733 0.804 O
0.557 0.168 0.816 O
0.676 0.233 0.196 O
0.066 0.284 0.552 O
0.176 0.767 0.304 O
0.288 0.667 0.066 O
0.443 0.832 0.184 O
0.051 0.507 0.691 O
0.551 0.493 0.809 O
0.443 0.332 0.316 O
0.712 0.333 0.934 O
0.057 0.332 0.816 O
0.934 0.716 0.448 O
0.285 0.002 0.063 O
0.676 0.733 0.304 O
0.785 0.498 0.063 O
0.551 0.993 0.691 O
0.051 0.007 0.809 O
0.785 0.998 0.437 O
0.212 0.667 0.566 O
0.434 0.284 0.052 O
0.215 0.502 0.937 O
0.824 0.233 0.696 O
0.949 0.493 0.309 O
0.943 0.168 0.316 O
0.949 0.993 0.191 O
0.285 0.502 0.437 O
0.566 0.716 0.948 O
0.934 0.216 0.052 O
0.715 0.998 0.937 O
0.215 0.002 0.563 O
0.176 0.267 0.196 O
0.434 0.784 0.448 O
0.324 0.767 0.804 O
0.057 0.832 0.684 O
0.324 0.267 0.696 O
0.788 0.833 0.066 O
0.288 0.167 0.434 O
0.212 0.167 0.934 O
0.788 0.333 0.434 O
0.884 0.647 0.625 Fe
0.616 0.647 0.125 Fe
0.884 0.147 0.875 Fe
0.384 0.353 0.875 Fe
0.116 0.353 0.375 Fe
0.616 0.147 0.375 Fe
0.384 0.853 0.625 Fe
0.116 0.853 0.125 Fe
0.717 0.337 0.025 Si
0.443 0.839 0.274 Si
0.217 0.163 0.025 Si
0.557 0.661 0.774 Si
0.057 0.339 0.726 Si
0.283 0.663 0.975 Si
0.783 0.337 0.525 Si
0.943 0.661 0.274 Si
0.057 0.839 0.774 Si
0.217 0.663 0.475 Si
0.943 0.161 0.226 Si
0.283 0.163 0.525 Si
0.557 0.161 0.726 Si
0.783 0.837 0.975 Si
0.717 0.837 0.475 Si
0.443 0.339 0.226 Si
0.885 0.500 0.875 Li
0.385 0.000 0.875 Li
0.115 0.500 0.125 Li
0.385 0.500 0.625 Li
0.615 0.000 0.125 Li
0.885 0.000 0.625 Li
0.615 0.500 0.375 Li
0.115 0.000 0.375 Li



LiFeSiO4 | the Materials Project database | PBE with a Hubbard U | relaxed; relative energy among the computed polymorphs = 61 meV per atom; electronic total energy = -1150.1 eV per cell
1.0
4.981 -8.628 0.000
4.981 8.628 0.000
0.000 0.000 24.550
Si O Li Fe
24 96 24 24
Direct
0.210 0.296 0.122 Si
0.704 0.914 0.455 Si
0.914 0.210 0.289 Si
0.671 0.924 0.132 Si
0.076 0.747 0.465 Si
0.724 0.357 0.798 Si
0.296 0.086 0.955 Si
0.136 0.767 0.142 Si
0.329 0.076 0.632 Si
0.924 0.253 0.965 Si
0.086 0.790 0.789 Si
0.367 0.724 0.965 Si
0.631 0.864 0.809 Si
0.233 0.369 0.475 Si
0.369 0.136 0.309 Si
0.357 0.633 0.631 Si
0.864 0.233 0.642 Si
0.276 0.643 0.298 Si
0.643 0.367 0.131 Si
0.767 0.631 0.975 Si
0.790 0.704 0.622 Si
0.253 0.329 0.799 Si
0.633 0.276 0.465 Si
0.747 0.671 0.299 Si
0.298 0.945 0.585 O
0.130 0.965 0.925 O
0.249 0.773 0.454 O
0.237 0.958 0.807 O
0.721 0.763 0.474 O
0.670 0.984 0.511 O
0.270 0.684 0.022 O
0.543 0.872 0.972 O
0.227 0.476 0.787 O
0.684 0.414 0.856 O
0.414 0.730 0.689 O
0.773 0.524 0.287 O
0.728 0.237 0.418 O
0.644 0.985 0.191 O
0.023 0.750 0.090 O
0.316 0.586 0.356 O
0.718 0.959 0.864 O
0.391 0.580 0.945 O
0.958 0.721 0.641 O
0.977 0.250 0.590 O
0.237 0.509 0.251 O
0.451 0.827 0.806 O
0.965 0.835 0.759 O
0.369 0.302 0.304 O
0.945 0.647 0.418 O
0.685 0.670 0.678 O
0.872 0.329 0.806 O
0.041 0.759 0.198 O
0.984 0.315 0.344 O
0.698 0.067 0.637 O
0.165 0.130 0.092 O
0.923 0.826 0.304 O
0.353 0.298 0.751 O
0.302 0.933 0.137 O
0.524 0.751 0.120 O
0.509 0.272 0.085 O
0.609 0.420 0.445 O
0.476 0.249 0.620 O
0.015 0.659 0.525 O
0.042 0.279 0.141 O
0.835 0.870 0.592 O
0.763 0.042 0.307 O
0.985 0.341 0.025 O
0.659 0.644 0.358 O
0.586 0.270 0.189 O
0.702 0.055 0.085 O
0.420 0.811 0.279 O
0.580 0.189 0.779 O
0.870 0.035 0.425 O
0.631 0.698 0.804 O
0.315 0.330 0.178 O
0.067 0.369 0.471 O
0.688 0.562 0.579 O
0.549 0.173 0.306 O
0.751 0.227 0.954 O
0.356 0.015 0.691 O
0.189 0.609 0.612 O
0.128 0.671 0.306 O
0.250 0.272 0.424 O
0.827 0.376 0.639 O
0.376 0.549 0.472 O
0.097 0.923 0.471 O
0.763 0.491 0.751 O
0.562 0.874 0.413 O
0.874 0.312 0.246 O
0.624 0.451 0.972 O
0.241 0.282 0.531 O
0.811 0.391 0.112 O
0.282 0.041 0.364 O
0.016 0.685 0.844 O
0.438 0.126 0.913 O
0.272 0.023 0.257 O
0.671 0.543 0.139 O
0.312 0.438 0.079 O
0.959 0.241 0.698 O
0.826 0.903 0.137 O
0.173 0.624 0.139 O
0.126 0.688 0.746 O
0.174 0.097 0.637 O
0.728 0.977 0.757 O
0.329 0.457 0.639 O
0.933 0.631 0.971 O
0.903 0.077 0.971 O
0.035 0.165 0.259 O
0.272 0.763 0.918 O
0.279 0.237 0.974 O
0.077 0.174 0.804 O
0.330 0.016 0.011 O
0.730 0.316 0.522 O
0.055 0.353 0.918 O
0.457 0.128 0.472 O
0.491 0.728 0.585 O
0.341 0.356 0.858 O
0.647 0.702 0.251 O
0.750 0.728 0.924 O
0.759 0.718 0.031 O
0.440 0.037 0.200 Li
0.037 0.597 0.034 Li
0.029 0.967 0.692 Li
0.469 0.422 0.681 Li
0.047 0.469 0.848 Li
0.971 0.033 0.192 Li
0.560 0.963 0.700 Li
0.422 0.953 0.515 Li
0.953 0.531 0.348 Li
0.403 0.440 0.367 Li
0.550 0.609 0.527 Li
0.963 0.403 0.534 Li
0.941 0.550 0.694 Li
0.531 0.578 0.181 Li
0.391 0.941 0.861 Li
0.609 0.059 0.361 Li
0.059 0.450 0.194 Li
0.597 0.560 0.867 Li
0.578 0.047 0.015 Li
0.033 0.061 0.026 Li
0.061 0.029 0.859 Li
0.967 0.939 0.526 Li
0.939 0.971 0.359 Li
0.450 0.391 0.027 Li
0.882 0.259 0.092 Fe
0.726 0.904 0.937 Fe
0.673 0.366 0.589 Fe
0.118 0.741 0.592 Fe
0.366 0.693 0.423 Fe
0.078 0.753 0.917 Fe
0.922 0.247 0.417 Fe
0.325 0.078 0.083 Fe
0.096 0.822 0.270 Fe
0.327 0.634 0.089 Fe
0.377 0.118 0.758 Fe
0.741 0.623 0.425 Fe
0.822 0.726 0.104 Fe
0.623 0.882 0.258 Fe
0.274 0.096 0.437 Fe
0.634 0.307 0.923 Fe
0.307 0.673 0.756 Fe
0.247 0.325 0.250 Fe
0.693 0.327 0.256 Fe
0.178 0.274 0.604 Fe
0.259 0.377 0.925 Fe
0.675 0.922 0.583 Fe
0.753 0.675 0.750 Fe
0.904 0.178 0.770 Fe



LiFe2Si2O8 | the Materials Project database | PBE with a Hubbard U | relaxed; relative energy among the computed polymorphs = 0 meV per atom; electronic total energy = -538.0 eV per cell
1.0
-0.989 7.416 -7.937
-7.049 -0.054 8.323
7.049 7.381 6.018
O Fe Si Li
48 12 12 6
Direct
0.806 0.921 0.091 O
0.601 0.899 0.402 O
0.618 0.411 0.916 O
0.885 0.079 0.909 O
0.291 0.397 0.604 O
0.101 0.702 0.735 O
0.885 0.806 0.757 O
0.298 0.899 0.598 O
0.709 0.106 0.063 O
0.702 0.601 0.068 O
0.793 0.411 0.084 O
0.702 0.101 0.598 O
0.101 0.399 0.932 O
0.709 0.603 0.604 O
0.115 0.194 0.757 O
0.894 0.291 0.270 O
0.207 0.589 0.084 O
0.382 0.589 0.916 O
0.793 0.382 0.583 O
0.399 0.298 0.265 O
0.298 0.399 0.068 O
0.106 0.709 0.270 O
0.291 0.894 0.063 O
0.194 0.079 0.091 O
0.603 0.894 0.937 O
0.899 0.298 0.735 O
0.589 0.382 0.417 O
0.207 0.618 0.583 O
0.894 0.603 0.396 O
0.921 0.115 0.424 O
0.618 0.207 0.751 O
0.397 0.291 0.730 O
0.899 0.601 0.932 O
0.806 0.885 0.576 O
0.106 0.397 0.396 O
0.399 0.101 0.402 O
0.079 0.194 0.243 O
0.411 0.793 0.249 O
0.411 0.618 0.417 O
0.382 0.793 0.751 O
0.397 0.106 0.937 O
0.194 0.115 0.576 O
0.601 0.702 0.265 O
0.115 0.921 0.909 O
0.603 0.709 0.730 O
0.589 0.207 0.249 O
0.921 0.806 0.243 O
0.079 0.885 0.424 O
0.251 0.502 0.500 Fe
0.747 0.000 0.500 Fe
0.749 0.251 0.167 Fe
0.000 0.253 0.833 Fe
0.000 0.747 0.833 Fe
0.253 0.253 0.167 Fe
0.749 0.498 0.500 Fe
0.251 0.749 0.167 Fe
0.253 0.000 0.500 Fe
0.502 0.251 0.833 Fe
0.747 0.747 0.167 Fe
0.498 0.749 0.833 Fe
0.246 0.000 0.000 Si
0.246 0.246 0.667 Si
0.248 0.752 0.667 Si
0.754 0.754 0.667 Si
0.752 0.248 0.667 Si
0.504 0.752 0.333 Si
0.752 0.504 0.000 Si
0.248 0.496 0.000 Si
0.000 0.754 0.333 Si
0.754 0.000 0.000 Si
0.000 0.246 0.333 Si
0.496 0.248 0.333 Si
0.000 0.000 0.833 Li
0.000 0.500 0.333 Li
0.000 0.000 0.500 Li
0.500 0.500 0.667 Li
0.000 0.000 0.167 Li
0.500 0.000 0.000 Li



These records have formation energy from the elements values of -2.476; -2.498; -2.755; -2.475; -2.338 eV/atom, in the order they appear.